# 1
Mg14NbFe: relaxed, PBE-GGA.

Results
Space-group type ... P-6m2, No. 187
ΔH_f (0 K) ... 0.19 eV/atom
Uncorrected energy ... -2.369 eV/atom

a b c (Å): 6.262 6.262 9.842
angles (deg): 90.00 90.00 120.00
Fractional positions:
1 Mg 0.000 0.000 0.244
2 Mg 0.000 0.000 0.756
3 Mg 0.019 0.510 0.258
4 Mg 0.019 0.510 0.742
5 Mg 0.332 0.166 0.500
6 Mg 0.341 0.170 0.000
7 Mg 0.490 0.510 0.258
8 Mg 0.490 0.510 0.742
9 Mg 0.490 0.981 0.258
10 Mg 0.490 0.981 0.742
11 Mg 0.830 0.170 0.000
12 Mg 0.830 0.659 0.000
13 Mg 0.834 0.166 0.500
14 Mg 0.834 0.668 0.500
15 Nb 0.333 0.667 0.000
16 Fe 0.333 0.667 0.500


# 2
CaSn3O7: relaxed, PBE-GGA.

Results
Space-group type ... Pnma, No. 62
ΔH_f (0 K) ... -2.19 eV/atom
Uncorrected energy ... -6.180 eV/atom

a b c (Å): 10.349 10.808 5.370
angles (deg): 90.00 90.00 90.00
Fractional positions:
1 Ca 0.119 0.250 0.168
2 Ca 0.381 0.750 0.668
3 Ca 0.619 0.250 0.332
4 Ca 0.881 0.750 0.832
5 Sn 0.144 0.010 0.618
6 Sn 0.144 0.490 0.618
7 Sn 0.160 0.750 0.170
8 Sn 0.340 0.250 0.670
9 Sn 0.356 0.510 0.118
10 Sn 0.356 0.990 0.118
11 Sn 0.644 0.010 0.882
12 Sn 0.644 0.490 0.882
13 Sn 0.660 0.750 0.330
14 Sn 0.840 0.250 0.830
15 Sn 0.856 0.510 0.382
16 Sn 0.856 0.990 0.382
17 O 0.025 0.250 0.772
18 O 0.027 0.067 0.304
19 O 0.027 0.433 0.304
20 O 0.226 0.623 0.910
21 O 0.226 0.877 0.910
22 O 0.248 0.117 0.896
23 O 0.248 0.383 0.896
24 O 0.252 0.617 0.396
25 O 0.252 0.883 0.396
26 O 0.274 0.123 0.410
27 O 0.274 0.377 0.410
28 O 0.473 0.567 0.804
29 O 0.473 0.933 0.804
30 O 0.475 0.750 0.272
31 O 0.525 0.250 0.728
32 O 0.527 0.067 0.196
33 O 0.527 0.433 0.196
34 O 0.726 0.623 0.590
35 O 0.726 0.877 0.590
36 O 0.748 0.117 0.604
37 O 0.748 0.383 0.604
38 O 0.752 0.617 0.104
39 O 0.752 0.883 0.104
40 O 0.774 0.123 0.090
41 O 0.774 0.377 0.090
42 O 0.973 0.567 0.696
43 O 0.973 0.933 0.696
44 O 0.975 0.750 0.228


# 3
Ce9SmO20: relaxed, PBE-GGA.

Results
Space-group type ... P-1, No. 2
ΔH_f (0 K) ... -3.84 eV/atom
Uncorrected energy ... -8.622 eV/atom

a b c (Å): 6.692 7.734 8.663
angles (deg): 102.83 97.59 106.55
Fractional positions:
1 Ce 0.000 0.000 0.000
2 Ce 0.200 0.400 0.399
3 Ce 0.200 0.899 0.399
4 Ce 0.398 0.799 0.800
5 Ce 0.400 0.301 0.801
6 Ce 0.600 0.699 0.199
7 Ce 0.602 0.201 0.200
8 Ce 0.800 0.101 0.601
9 Ce 0.800 0.600 0.601
10 Sm 0.000 0.500 0.000
11 O 0.051 0.219 0.847
12 O 0.051 0.730 0.847
13 O 0.149 0.674 0.550
14 O 0.150 0.175 0.549
15 O 0.252 0.126 0.250
16 O 0.255 0.628 0.255
17 O 0.351 0.075 0.951
18 O 0.357 0.577 0.948
19 O 0.449 0.024 0.650
20 O 0.449 0.525 0.649
21 O 0.551 0.475 0.351
22 O 0.551 0.976 0.350
23 O 0.643 0.423 0.052
24 O 0.649 0.925 0.049
25 O 0.745 0.372 0.745
26 O 0.748 0.874 0.750
27 O 0.850 0.825 0.451
28 O 0.851 0.326 0.450
29 O 0.949 0.270 0.153
30 O 0.949 0.781 0.153


# 4
EuRhO3: relaxed, PBE-GGA.

Results
Space-group type ... Pnma, No. 62
ΔH_f (0 K) ... -2.21 eV/atom
Uncorrected energy ... -8.293 eV/atom

a b c (Å): 5.837 7.818 5.413
angles (deg): 90.00 90.00 90.00
Fractional positions:
1 Eu 0.075 0.250 0.025
2 Eu 0.425 0.750 0.525
3 Eu 0.575 0.250 0.475
4 Eu 0.925 0.750 0.975
5 Rh 0.000 0.000 0.500
6 Rh 0.000 0.500 0.500
7 Rh 0.500 0.000 0.000
8 Rh 0.500 0.500 0.000
9 O 0.036 0.750 0.389
10 O 0.196 0.553 0.813
11 O 0.196 0.947 0.813
12 O 0.304 0.053 0.313
13 O 0.304 0.447 0.313
14 O 0.464 0.250 0.889
15 O 0.536 0.750 0.111
16 O 0.696 0.553 0.687
17 O 0.696 0.947 0.687
18 O 0.804 0.053 0.187
19 O 0.804 0.447 0.187
20 O 0.964 0.250 0.611


# 5
LiSm2IrO6: relaxed, PBE-GGA.

Results
Space-group type ... P2_1/c, No. 14
ΔH_f (0 K) ... -2.74 eV/atom
Uncorrected energy ... -7.317 eV/atom

a b c (Å): 5.393 5.821 9.357
angles (deg): 90.00 124.49 90.00
Fractional positions:
1 Li 0.000 0.000 0.000
2 Li 0.000 0.500 0.500
3 Sm 0.227 0.078 0.748
4 Sm 0.227 0.422 0.248
5 Sm 0.773 0.578 0.752
6 Sm 0.773 0.922 0.252
7 Ir 0.500 0.000 0.500
8 Ir 0.500 0.500 0.000
9 O 0.144 0.185 0.448
10 O 0.144 0.315 0.948
11 O 0.268 0.709 0.443
12 O 0.268 0.791 0.943
13 O 0.361 0.035 0.254
14 O 0.361 0.465 0.754
15 O 0.639 0.535 0.246
16 O 0.639 0.965 0.746
17 O 0.732 0.209 0.057
18 O 0.732 0.291 0.557
19 O 0.856 0.685 0.052
20 O 0.856 0.815 0.552


# 6
In8Cu7Se16: relaxed, PBE-GGA.

Results
Space-group type ... P1, No. 1
ΔH_f (0 K) ... -0.61 eV/atom
Uncorrected energy ... -3.807 eV/atom

a b c (Å): 8.607 10.099 10.802
angles (deg): 116.12 111.63 93.60
Fractional positions:
1 In 0.000 0.000 0.000
2 In 0.118 0.621 0.751
3 In 0.248 0.750 0.499
4 In 0.369 0.367 0.249
5 In 0.497 0.492 0.998
6 In 0.619 0.128 0.751
7 In 0.747 0.248 0.501
8 In 0.876 0.873 0.257
9 Cu 0.252 0.251 0.502
10 Cu 0.373 0.877 0.252
11 Cu 0.493 0.995 0.998
12 Cu 0.625 0.622 0.753
13 Cu 0.748 0.749 0.499
14 Cu 0.873 0.377 0.250
15 Cu 0.998 0.495 0.999
16 Se 0.010 0.890 0.523
17 Se 0.016 0.370 0.485
18 Se 0.113 0.492 0.236
19 Se 0.156 0.010 0.266
20 Se 0.254 0.633 0.018
21 Se 0.264 0.124 0.983
22 Se 0.352 0.234 0.736
23 Se 0.403 0.754 0.763
24 Se 0.505 0.386 0.518
25 Se 0.519 0.870 0.487
26 Se 0.613 0.992 0.235
27 Se 0.654 0.507 0.266
28 Se 0.752 0.132 0.017
29 Se 0.769 0.622 0.990
30 Se 0.859 0.743 0.734
31 Se 0.903 0.255 0.762


# 7
Na3Nb: relaxed, PBE-GGA.

Results
Space-group type ... I4/mmm, No. 139
ΔH_f (0 K) ... 0.98 eV/atom
Uncorrected energy ... -2.536 eV/atom

a b c (Å): 6.185 6.185 6.185
angles (deg): 134.71 134.71 65.99
Fractional positions:
1 Na 0.000 0.000 0.000
2 Na 0.250 0.750 0.500
3 Na 0.750 0.250 0.500
4 Nb 0.500 0.500 0.000


# 8
Li2SnP2O7: relaxed, PBE-GGA.

Results
Space-group type ... P2_1/c, No. 14
ΔH_f (0 K) ... -2.51 eV/atom
Uncorrected energy ... -6.549 eV/atom

a b c (Å): 5.536 14.448 9.568
angles (deg): 90.00 123.83 90.00
Fractional positions:
1 Li 0.018 0.184 0.317
2 Li 0.018 0.316 0.817
3 Li 0.446 0.092 0.150
4 Li 0.446 0.408 0.650
5 Li 0.554 0.592 0.350
6 Li 0.554 0.908 0.850
7 Li 0.982 0.684 0.183
8 Li 0.982 0.816 0.683
9 Sn 0.468 0.157 0.771
10 Sn 0.468 0.343 0.271
11 Sn 0.532 0.657 0.729
12 Sn 0.532 0.843 0.229
13 P 0.011 0.523 0.720
14 P 0.011 0.977 0.220
15 P 0.245 0.674 0.972
16 P 0.245 0.826 0.472
17 P 0.755 0.174 0.528
18 P 0.755 0.326 0.028
19 P 0.989 0.023 0.780
20 P 0.989 0.477 0.280
21 O 0.026 0.206 0.530
22 O 0.026 0.294 0.030
23 O 0.138 0.563 0.269
24 O 0.138 0.937 0.769
25 O 0.191 0.567 0.916
26 O 0.191 0.933 0.416
27 O 0.206 0.099 0.893
28 O 0.206 0.401 0.393
29 O 0.248 0.505 0.688
30 O 0.248 0.995 0.188
31 O 0.281 0.731 0.850
32 O 0.281 0.769 0.350
33 O 0.477 0.180 0.348
34 O 0.477 0.320 0.848
35 O 0.523 0.680 0.152
36 O 0.523 0.820 0.652
37 O 0.719 0.231 0.650
38 O 0.719 0.269 0.150
39 O 0.752 0.005 0.812
40 O 0.752 0.495 0.312
41 O 0.794 0.599 0.607
42 O 0.794 0.901 0.107
43 O 0.809 0.067 0.584
44 O 0.809 0.433 0.084
45 O 0.862 0.063 0.231
46 O 0.862 0.437 0.731
47 O 0.974 0.706 0.970
48 O 0.974 0.794 0.470


# 9
LiCuCO3: relaxed, PBE-GGA.

Results
Space-group type ... P1, No. 1
ΔH_f (0 K) ... -1.64 eV/atom
Uncorrected energy ... -6.311 eV/atom

a b c (Å): 3.051 14.371 14.374
angles (deg): 60.04 89.56 89.32
Fractional positions:
1 Li 0.000 0.000 0.000
2 Li 0.000 0.052 0.289
3 Li 0.007 0.011 0.627
4 Li 0.008 0.679 0.651
5 Li 0.052 0.680 0.299
6 Li 0.951 0.352 0.310
7 Li 0.979 0.362 0.628
8 Li 0.985 0.342 0.948
9 Li 0.987 0.704 0.958
10 Cu 0.436 0.566 0.187
11 Cu 0.464 0.262 0.178
12 Cu 0.477 0.231 0.849
13 Cu 0.481 0.568 0.860
14 Cu 0.502 0.912 0.861
15 Cu 0.507 0.239 0.537
16 Cu 0.516 0.914 0.516
17 Cu 0.535 0.901 0.210
18 Cu 0.561 0.589 0.513
19 C 0.001 0.118 0.758
20 C 0.023 0.810 0.412
21 C 0.486 0.143 0.409
22 C 0.494 0.131 0.079
23 C 0.494 0.465 0.412
24 C 0.498 0.461 0.737
25 C 0.500 0.798 0.745
26 C 0.506 0.790 0.090
27 C 0.964 0.465 0.066
28 O 0.000 0.209 0.668
29 O 0.007 0.810 0.504
30 O 0.011 0.027 0.758
31 O 0.012 0.901 0.322
32 O 0.054 0.720 0.412
33 O 0.433 0.711 0.071
34 O 0.434 0.445 0.335
35 O 0.463 0.063 0.391
36 O 0.463 0.242 0.330
37 O 0.463 0.443 0.835
38 O 0.476 0.382 0.718
39 O 0.486 0.225 0.993
40 O 0.493 0.781 0.844
41 O 0.497 0.044 0.072
42 O 0.498 0.717 0.728
43 O 0.499 0.124 0.173
44 O 0.504 0.387 0.512
45 O 0.514 0.896 0.665
46 O 0.538 0.123 0.508
47 O 0.540 0.770 0.189
48 O 0.541 0.887 0.011
49 O 0.548 0.563 0.390
50 O 0.557 0.560 0.658
51 O 0.947 0.465 0.156
52 O 0.970 0.374 0.066
53 O 0.972 0.556 0.975
54 O 0.994 0.118 0.849


# 10
Tl4Bi: relaxed, PBE-GGA.

Results
Space-group type ... R-3m, No. 166
ΔH_f (0 K) ... 0.00 eV/atom
Uncorrected energy ... -2.670 eV/atom

a b c (Å): 15.031 15.031 15.031
angles (deg): 13.36 13.36 13.36
Fractional positions:
1 Tl 0.100 0.100 0.100
2 Tl 0.300 0.300 0.300
3 Tl 0.700 0.700 0.700
4 Tl 0.900 0.900 0.900
5 Bi 0.500 0.500 0.500


# 11
HoAl7Fe5: relaxed, PBE-GGA.

Results
Space-group type ... Imm2, No. 44
ΔH_f (0 K) ... -0.40 eV/atom
Uncorrected energy ... -6.025 eV/atom

a b c (Å): 6.601 6.601 6.601
angles (deg): 135.35 98.14 98.46
Fractional positions:
1 Ho 0.000 0.000 0.000
2 Al 0.211 0.500 0.712
3 Al 0.229 0.729 0.500
4 Al 0.345 0.345 0.000
5 Al 0.355 0.013 0.343
6 Al 0.666 0.666 0.000
7 Al 0.670 0.013 0.657
8 Al 0.788 0.500 0.288
9 Fe 0.006 0.004 0.499
10 Fe 0.006 0.508 0.002
11 Fe 0.505 0.004 0.998
12 Fe 0.505 0.508 0.501
13 Fe 0.770 0.270 0.500


# 12
Rb19O3: relaxed, PBE-GGA.

Results
Space-group type ... Fm-3c, No. 226
ΔH_f (0 K) ... -0.45 eV/atom
Uncorrected energy ... -1.879 eV/atom

a b c (Å): 16.358 16.358 16.358
angles (deg): 60.00 60.00 60.00
Fractional positions:
1 Rb 0.000 0.000 0.000
2 Rb 0.051 0.327 0.673
3 Rb 0.051 0.673 0.949
4 Rb 0.051 0.949 0.327
5 Rb 0.114 0.114 0.386
6 Rb 0.114 0.386 0.114
7 Rb 0.114 0.386 0.386
8 Rb 0.173 0.449 0.827
9 Rb 0.173 0.551 0.449
10 Rb 0.173 0.827 0.551
11 Rb 0.327 0.051 0.949
12 Rb 0.327 0.673 0.051
13 Rb 0.327 0.949 0.673
14 Rb 0.386 0.114 0.114
15 Rb 0.386 0.114 0.386
16 Rb 0.386 0.386 0.114
17 Rb 0.449 0.173 0.551
18 Rb 0.449 0.551 0.827
19 Rb 0.449 0.827 0.173
20 Rb 0.500 0.500 0.500
21 Rb 0.551 0.173 0.827
22 Rb 0.551 0.449 0.173
23 Rb 0.551 0.827 0.449
24 Rb 0.614 0.614 0.886
25 Rb 0.614 0.886 0.614
26 Rb 0.614 0.886 0.886
27 Rb 0.673 0.051 0.327
28 Rb 0.673 0.327 0.949
29 Rb 0.673 0.949 0.051
30 Rb 0.827 0.173 0.449
31 Rb 0.827 0.449 0.551
32 Rb 0.827 0.551 0.173
33 Rb 0.886 0.614 0.614
34 Rb 0.886 0.614 0.886
35 Rb 0.886 0.886 0.614
36 Rb 0.949 0.051 0.673
37 Rb 0.949 0.327 0.051
38 Rb 0.949 0.673 0.327
39 O 0.000 0.000 0.500
40 O 0.000 0.500 0.000
41 O 0.000 0.500 0.500
42 O 0.500 0.000 0.000
43 O 0.500 0.000 0.500
44 O 0.500 0.500 0.000


# 13
KNa2AlF6: relaxed, PBE-GGA.

Results
Space-group type ... Fm-3m, No. 225
ΔH_f (0 K) ... -3.25 eV/atom
Uncorrected energy ... -4.871 eV/atom

a b c (Å): 6.054 6.054 6.054
angles (deg): 60.00 60.00 60.00
Fractional positions:
1 K 0.000 0.000 0.000
2 Na 0.250 0.250 0.250
3 Na 0.750 0.750 0.750
4 Al 0.500 0.500 0.500
5 F 0.287 0.287 0.713
6 F 0.287 0.713 0.287
7 F 0.287 0.713 0.713
8 F 0.713 0.287 0.287
9 F 0.713 0.287 0.713
10 F 0.713 0.713 0.287